No. 1
MgV2Pb3O8 | the Materials Project database | PBE+U | optimized geometry; calculated formation energy = -196.2 kJ per mole of atoms; SG = P1; magnetic moment = 2.0 μB per formula unit; crystal system = triclinic; relative energy among the computed polymorphs = 23 meV/atom
1.0
-3.2956 4.2637 2.6153
-5.8093 -0.7272 -0.7531
-3.5105 -2.6067 7.3875
Mg V Pb O
1 2 3 8
direct
0.9671 0.0047 0.7613
0.6488 0.6562 0.1771
0.3324 0.3645 0.8007
0.2647 0.3292 0.3070
0.6669 0.7208 0.6108
0.0195 0.0103 0.1021
0.7507 0.8059 0.9608
0.2525 0.3237 0.0324
0.7638 0.7208 0.3193
0.2014 0.2020 0.7349
0.6825 0.3106 0.2312
0.2631 0.7087 0.6923
0.2928 0.7269 0.2556
0.6861 0.3026 0.6979

No. 2
LiV6O11F | the Materials Project database | PBE+U | optimized geometry; calculated formation energy = -239.6 kJ per mole of atoms; SG = P1; magnetic moment = 8.0 μB per formula unit; crystal system = triclinic; relative energy among the computed polymorphs = 0 meV/atom
1.0
-3.8530 2.6451 -0.2982
-1.6210 -2.1729 3.8594
3.9154 6.2256 5.1855
Li V O F
1 6 11 1
direct
0.0044 0.5034 0.4070
0.0173 0.9826 0.0148
0.9991 0.0024 0.3286
0.0065 0.9932 0.6617
0.5244 0.4762 0.1622
0.4613 0.5385 0.8356
0.5104 0.4887 0.5076
0.2016 0.7980 0.1550
0.1978 0.7996 0.4965
0.1953 0.8037 0.8402
0.3024 0.3051 0.9997
0.3001 0.3136 0.3297
0.3017 0.3107 0.6706
0.6937 0.6984 0.9998
0.6972 0.6934 0.3310
0.6897 0.6970 0.6706
0.8000 0.2036 0.1609
0.7903 0.2136 0.4963
0.8065 0.1923 0.8394

No. 3
CsNaMoO6 | the Materials Project database | PBE+U | optimized geometry; calculated formation energy = -120.7 kJ per mole of atoms; SG = P2_12_12_1; magnetic moment = 4.0 μB per formula unit; crystal system = orthorhombic
1.0
-4.1212 3.8887 -4.1349
-5.4650 -5.6490 0.1343
-5.3749 5.4489 10.4814
Cs Na Mo O
4 4 4 24
direct
0.0443 0.8437 0.3517
0.4557 0.1563 0.8517
0.5443 0.6563 0.6483
0.9557 0.3437 0.1483
0.6284 0.7194 0.0121
0.8716 0.2806 0.5121
0.1284 0.7806 0.9879
0.3716 0.2194 0.4879
0.5506 0.5864 0.3527
0.9494 0.4136 0.8527
0.0506 0.9136 0.6473
0.4494 0.0864 0.1473
0.6037 0.4236 0.4468
0.8963 0.5764 0.9468
0.1037 0.0764 0.5532
0.3963 0.9236 0.0532
0.7480 0.6036 0.2655
0.7520 0.3964 0.7655
0.2480 0.8964 0.7345
0.2520 0.1036 0.2345
0.5260 0.7809 0.4224
0.9740 0.2191 0.9224
0.0260 0.7191 0.5776
0.4740 0.2809 0.0776
0.3265 0.5436 0.2859
0.1735 0.4564 0.7859
0.8265 0.9564 0.7141
0.6735 0.0436 0.2141
0.8614 0.9370 0.9063
0.6386 0.0630 0.4063
0.3614 0.5630 0.0937
0.1386 0.4370 0.5937
0.8367 0.8157 0.1449
0.6633 0.1843 0.6449
0.3367 0.6843 0.8551
0.1633 0.3157 0.3551

No. 4
Ca2Mn3Si3H3O14 | the Materials Project database | PBE+U | optimized geometry; calculated formation energy = -251.2 kJ per mole of atoms; SG = P2_1/m; magnetic moment = 12.0 μB per formula unit; crystal system = monoclinic
1.0
6.2029 0.0000 0.0000
0.0000 9.0831 0.0000
0.0000 3.7743 9.6439
Ca Mn Si H O
4 6 6 6 28
direct
0.2500 0.2043 0.1799
0.7500 0.7957 0.8201
0.2500 0.3300 0.8126
0.7500 0.6700 0.1874
0.5000 0.5000 0.5000
0.0000 0.5000 0.5000
0.5000 0.0000 0.0000
0.0000 0.0000 0.0000
0.5000 0.0000 0.5000
0.0000 0.0000 0.5000
0.2500 0.6640 0.0048
0.7500 0.3360 0.9952
0.2500 0.7075 0.6986
0.7500 0.2925 0.3014
0.2500 0.8067 0.3118
0.7500 0.1933 0.6882
0.2500 0.0847 0.6629
0.7500 0.9153 0.3371
0.2500 0.4918 0.2369
0.7500 0.5082 0.7631
0.2500 0.2912 0.4859
0.7500 0.7088 0.5141
0.2500 0.0610 0.8831
0.7500 0.9390 0.1169
0.4652 0.6931 0.3362
0.5348 0.3069 0.6638
0.9652 0.3069 0.6638
0.0348 0.6931 0.3362
0.2500 0.4912 0.1412
0.7500 0.5088 0.8588
0.4694 0.8162 0.6682
0.5306 0.1838 0.3318
0.9694 0.1838 0.3318
0.0306 0.8162 0.6682
0.2500 0.9140 0.4092
0.7500 0.0860 0.5908
0.2500 0.9456 0.1536
0.7500 0.0544 0.8464
0.2500 0.5742 0.6273
0.7500 0.4258 0.3727
0.2500 0.6026 0.8706
0.7500 0.3974 0.1294
0.2500 0.1052 0.5627
0.7500 0.8948 0.4373
0.4771 0.7577 0.0038
0.5229 0.2423 0.9962
0.9771 0.2423 0.9962
0.0229 0.7577 0.0038
0.2500 0.4115 0.4368
0.7500 0.5885 0.5632

No. 5
LiGdMo2O8 | the Materials Project database | PBE+U | optimized geometry; calculated formation energy = -240.7 kJ per mole of atoms; SG = P2/c; magnetic moment = 7.0 μB per formula unit; crystal system = monoclinic
1.0
-3.2018 3.8691 3.1846
-4.2828 -2.0842 -1.7739
-3.7715 -8.3061 6.2995
Li Gd Mo O
2 2 4 16
direct
0.7054 0.0000 0.7500
0.2946 0.0000 0.2500
0.2922 0.5000 0.7500
0.7078 0.5000 0.2500
0.8176 0.7341 0.5205
0.1824 0.2659 0.4795
0.8176 0.2659 0.9795
0.1824 0.7341 0.0205
0.8961 0.8543 0.0941
0.1039 0.1457 0.9059
0.8961 0.1457 0.4059
0.1039 0.8543 0.5941
0.3644 0.7207 0.8916
0.6356 0.2793 0.1084
0.3644 0.2793 0.6084
0.6356 0.7207 0.3916
0.9088 0.6395 0.8863
0.0912 0.3605 0.1137
0.9088 0.3605 0.6137
0.0912 0.6395 0.3863
0.6233 0.7758 0.6357
0.3767 0.2242 0.3643
0.6233 0.2242 0.8643
0.3767 0.7758 0.1357

What did the fifth record say?
LiGdMo2O8 | the Materials Project database | PBE+U | optimized geometry; calculated formation energy = -240.7 kJ per mole of atoms; SG = P2/c; magnetic moment = 7.0 μB per formula unit; crystal system = monoclinic
1.0
-3.2018 3.8691 3.1846
-4.2828 -2.0842 -1.7739
-3.7715 -8.3061 6.2995
Li Gd Mo O
2 2 4 16
direct
0.7054 0.0000 0.7500
0.2946 0.0000 0.2500
0.2922 0.5000 0.7500
0.7078 0.5000 0.2500
0.8176 0.7341 0.5205
0.1824 0.2659 0.4795
0.8176 0.2659 0.9795
0.1824 0.7341 0.0205
0.8961 0.8543 0.0941
0.1039 0.1457 0.9059
0.8961 0.1457 0.4059
0.1039 0.8543 0.5941
0.3644 0.7207 0.8916
0.6356 0.2793 0.1084
0.3644 0.2793 0.6084
0.6356 0.7207 0.3916
0.9088 0.6395 0.8863
0.0912 0.3605 0.1137
0.9088 0.3605 0.6137
0.0912 0.6395 0.3863
0.6233 0.7758 0.6357
0.3767 0.2242 0.3643
0.6233 0.2242 0.8643
0.3767 0.7758 0.1357

- What is the calculated formation energy in the third record?
  -120.7 kJ per mole of atoms

- What is the calculated formation energy in the fourth record?
  -251.2 kJ per mole of atoms

What did the fifth record say?
LiGdMo2O8 | the Materials Project database | PBE+U | optimized geometry; calculated formation energy = -240.7 kJ per mole of atoms; SG = P2/c; magnetic moment = 7.0 μB per formula unit; crystal system = monoclinic
1.0
-3.2018 3.8691 3.1846
-4.2828 -2.0842 -1.7739
-3.7715 -8.3061 6.2995
Li Gd Mo O
2 2 4 16
direct
0.7054 0.0000 0.7500
0.2946 0.0000 0.2500
0.2922 0.5000 0.7500
0.7078 0.5000 0.2500
0.8176 0.7341 0.5205
0.1824 0.2659 0.4795
0.8176 0.2659 0.9795
0.1824 0.7341 0.0205
0.8961 0.8543 0.0941
0.1039 0.1457 0.9059
0.8961 0.1457 0.4059
0.1039 0.8543 0.5941
0.3644 0.7207 0.8916
0.6356 0.2793 0.1084
0.3644 0.2793 0.6084
0.6356 0.7207 0.3916
0.9088 0.6395 0.8863
0.0912 0.3605 0.1137
0.9088 0.3605 0.6137
0.0912 0.6395 0.3863
0.6233 0.7758 0.6357
0.3767 0.2242 0.3643
0.6233 0.2242 0.8643
0.3767 0.7758 0.1357